Record 1
SiO2: relaxed, PBE.

```
data_SiO2
_space_group_name_H-M_alt 'P 1'
_space_group_IT_number 1
_space_group_name_Hall 'P 1'
_cell_length_a 8.735
_cell_length_b 8.794
_cell_length_c 16.722
_cell_angle_alpha 91.34
_cell_angle_beta 90.00
_cell_angle_gamma 119.77
loop_
_atom_site_label
_atom_site_type_symbol
_atom_site_fract_x
_atom_site_fract_y
_atom_site_fract_z
O1 O 0.367 0.991 0.255
Si1 Si 0.348 0.953 0.350
O2 O 0.759 0.142 0.098
O3 O 0.151 0.798 0.371
O4 O 0.951 0.549 0.471
O5 O 0.978 0.223 0.223
O6 O 0.499 0.903 0.827
O7 O 0.321 0.142 0.131
O8 O 0.343 0.243 0.982
O9 O 0.588 0.907 0.979
O10 O 0.765 0.568 0.118
O11 O 0.015 0.674 0.009
O12 O 0.754 0.142 0.642
Si2 Si 0.637 0.613 0.648
Si3 Si 0.008 0.266 0.318
O13 O 0.754 0.570 0.585
Si4 Si 0.333 0.283 0.406
Si5 Si 0.970 0.628 0.102
Si6 Si 0.996 0.596 0.378
Si7 Si 0.959 0.268 0.131
O14 O 0.333 0.135 0.617
O15 O 0.499 0.471 0.384
O16 O 0.819 0.142 0.883
Si8 Si 0.283 0.933 0.629
O17 O 0.492 0.473 0.867
O18 O 0.735 0.810 0.864
O19 O 0.490 0.896 0.378
O20 O 0.670 0.809 0.636
Si9 Si 0.956 0.297 0.661
O21 O 0.395 0.139 0.840
O22 O 0.096 0.804 0.584
O23 O 0.738 0.805 0.374
O24 O 0.714 0.979 0.501
O25 O 0.996 0.476 0.619
O26 O 0.166 0.231 0.346
Si10 Si 0.296 0.273 0.073
O27 O 0.276 0.298 0.497
O28 O 0.696 0.600 0.739
Si11 Si 0.687 0.613 0.835
O29 O 0.095 0.803 0.156
O30 O 0.820 0.565 0.330
Si12 Si 0.301 0.959 0.163
O31 O 0.172 0.810 0.874
O32 O 0.388 0.132 0.400
O33 O 0.069 0.474 0.903
O34 O 0.594 0.610 0.242
O35 O 0.668 0.810 0.115
Si13 Si 0.005 0.296 0.849
Si14 Si 0.614 0.615 0.145
O36 O 0.007 0.471 0.126
O37 O 0.063 0.470 0.338
Si15 Si 0.662 0.612 0.332
Si16 Si 0.610 0.941 0.076
Si17 Si 0.332 0.936 0.817
O38 O 0.435 0.901 0.591
Si18 Si 0.949 0.600 0.565
O39 O 0.264 0.892 0.724
Si19 Si 0.661 0.941 0.888
Si20 Si 0.691 0.955 0.404
O40 O 0.429 0.471 0.633
Si21 Si 0.283 0.284 0.594
O41 O 0.153 0.235 0.855
Si22 Si 0.345 0.273 0.886
O42 O 0.091 0.232 0.629
O43 O 0.420 0.901 0.110
O44 O 0.827 0.140 0.365
Si23 Si 0.022 0.631 0.914
O45 O 0.093 0.234 0.075
O46 O 0.831 0.567 0.873
Si24 Si 0.643 0.957 0.592
O47 O 0.981 0.335 0.757
O48 O 0.427 0.474 0.104
```

Summary:
Uncorrected energy: -7.9134 eV per atom
SG: P1


Record 2
Ba3MgTa2O9: relaxed, PBE.

```
data_Ba3MgTa2O9
_space_group_name_H-M_alt 'P 1'
_space_group_IT_number 1
_space_group_name_Hall 'P 1'
_cell_length_a 5.843
_cell_length_b 5.843
_cell_length_c 7.179
_cell_angle_alpha 90.00
_cell_angle_beta 90.00
_cell_angle_gamma 120.00
loop_
_atom_site_label
_atom_site_type_symbol
_atom_site_fract_x
_atom_site_fract_y
_atom_site_fract_z
O1 O 0.828 0.656 0.675
O2 O 0.000 0.500 0.000
Ba1 Ba 0.000 0.000 0.000
O3 O 0.344 0.172 0.675
O4 O 0.656 0.828 0.325
Ta1 Ta 0.667 0.333 0.823
Ba2 Ba 0.667 0.333 0.336
Ta2 Ta 0.333 0.667 0.177
O5 O 0.172 0.828 0.325
O6 O 0.828 0.172 0.675
O7 O 0.172 0.344 0.325
O8 O 0.500 0.500 0.000
Ba3 Ba 0.333 0.667 0.664
Mg1 Mg 0.000 0.000 0.500
O9 O 0.500 0.000 0.000
```

Summary:
Uncorrected energy: -8.0444 eV per atom
SG: P-3m1
Size of the total moment: 0.0 μB per formula unit


Record 3
Cu2GeP2H10O14: relaxed, PBE.

```
data_Cu2GeP2H10O14
_space_group_name_H-M_alt 'P 1'
_space_group_IT_number 1
_space_group_name_Hall 'P 1'
_cell_length_a 8.666
_cell_length_b 5.113
_cell_length_c 12.571
_cell_angle_alpha 89.17
_cell_angle_beta 90.00
_cell_angle_gamma 90.00
loop_
_atom_site_label
_atom_site_type_symbol
_atom_site_fract_x
_atom_site_fract_y
_atom_site_fract_z
O1 O 0.840 0.526 0.356
O2 O 0.048 0.992 0.185
Cu1 Cu 0.961 0.271 0.271
Ge1 Ge 0.500 0.000 0.500
H1 H 0.252 0.797 0.843
H2 H 0.587 0.327 0.866
O3 O 0.186 0.449 0.323
P1 P 0.674 0.498 0.401
O4 O 0.171 0.264 0.032
Cu2 Cu 0.039 0.729 0.729
O5 O 0.548 0.508 0.315
P2 P 0.174 0.002 0.099
O6 O 0.329 0.764 0.532
P3 P 0.826 0.998 0.901
H3 H 0.950 0.689 0.168
H4 H 0.913 0.827 0.366
H5 H 0.643 0.564 0.934
H6 H 0.050 0.311 0.832
H7 H 0.413 0.673 0.134
O7 O 0.660 0.026 0.856
O8 O 0.147 0.775 0.020
O9 O 0.647 0.725 0.480
O10 O 0.944 0.007 0.388
H8 H 0.189 0.555 0.388
H9 H 0.087 0.173 0.634
H10 H 0.752 0.703 0.657
O11 O 0.444 0.493 0.112
H11 H 0.311 0.055 0.888
O12 O 0.829 0.736 0.968
O13 O 0.160 0.474 0.644
H12 H 0.857 0.064 0.434
O14 O 0.686 0.051 0.177
O15 O 0.952 0.008 0.815
O16 O 0.567 0.007 0.643
P4 P 0.326 0.502 0.599
O17 O 0.556 0.507 0.888
O18 O 0.814 0.551 0.677
H13 H 0.550 0.189 0.668
O19 O 0.067 0.493 0.857
O20 O 0.452 0.492 0.685
H14 H 0.450 0.811 0.332
Cu3 Cu 0.461 0.229 0.229
H15 H 0.689 0.945 0.112
O21 O 0.353 0.275 0.520
H16 H 0.357 0.436 0.066
O22 O 0.433 0.993 0.357
Cu4 Cu 0.539 0.771 0.771
H17 H 0.248 0.297 0.343
H18 H 0.143 0.936 0.566
O23 O 0.933 0.507 0.143
O24 O 0.056 0.993 0.612
O25 O 0.340 0.974 0.144
H19 H 0.748 0.203 0.157
O26 O 0.314 0.949 0.823
Ge2 Ge 0.000 0.500 0.000
O27 O 0.853 0.225 0.980
O28 O 0.671 0.236 0.468
H20 H 0.811 0.445 0.612
```

Summary:
Uncorrected energy: -5.6651 eV per atom
SG: P2_1/c
Size of the total moment: 2.0 μB per formula unit


Record 4
Mg16Al12Ag: relaxed, PBE.

```
data_Mg16Al12Ag
_space_group_name_H-M_alt 'P 1'
_space_group_IT_number 1
_space_group_name_Hall 'P 1'
_cell_length_a 9.246
_cell_length_b 9.062
_cell_length_c 9.062
_cell_angle_alpha 109.06
_cell_angle_beta 109.88
_cell_angle_gamma 109.88
loop_
_atom_site_label
_atom_site_type_symbol
_atom_site_fract_x
_atom_site_fract_y
_atom_site_fract_z
Mg1 Mg 0.683 0.680 0.279
Al1 Al 0.367 0.368 0.184
Al2 Al 0.999 0.816 0.632
Mg2 Mg 0.002 0.599 0.320
Al3 Al 0.183 0.816 0.184
Mg3 Mg 0.403 0.721 0.401
Mg4 Mg 0.997 0.000 0.000
Al4 Al 0.643 0.812 0.000
Mg5 Mg 0.002 0.320 0.599
Mg6 Mg 0.317 0.000 0.602
Al5 Al 0.815 0.625 0.000
Mg7 Mg 0.002 0.348 0.000
Mg8 Mg 0.297 0.706 0.706
Mg9 Mg 0.591 0.000 0.294
Mg10 Mg 0.655 0.652 0.652
Al6 Al 0.183 0.184 0.816
Al7 Al 0.367 0.184 0.368
Mg11 Mg 0.403 0.401 0.721
Mg12 Mg 0.002 0.000 0.348
Mg13 Mg 0.683 0.279 0.680
Ag1 Ag 0.304 0.000 0.000
Al8 Al 0.999 0.632 0.816
Mg14 Mg 0.591 0.294 0.000
Al9 Al 0.815 0.000 0.625
Al10 Al 0.643 0.000 0.812
Mg15 Mg 0.715 0.398 0.398
Mg16 Mg 0.317 0.602 0.000
Al11 Al 0.831 0.188 0.188
Al12 Al 0.191 0.375 0.375
```

Summary:
Uncorrected energy: -2.5558 eV per atom
SG: R3m
Size of the total moment: 0.0 μB per formula unit


Record 5
Hf6Co16Si7: relaxed, PBE.

```
data_Hf6Co16Si7
_space_group_name_H-M_alt 'P 1'
_space_group_IT_number 1
_space_group_name_Hall 'P 1'
_cell_length_a 8.031
_cell_length_b 8.031
_cell_length_c 8.031
_cell_angle_alpha 60.00
_cell_angle_beta 60.00
_cell_angle_gamma 60.00
loop_
_atom_site_label
_atom_site_type_symbol
_atom_site_fract_x
_atom_site_fract_y
_atom_site_fract_z
Si1 Si 0.500 0.500 0.000
Co1 Co 0.142 0.619 0.619
Co2 Co 0.170 0.170 0.170
Co3 Co 0.830 0.511 0.830
Co4 Co 0.858 0.381 0.381
Hf1 Hf 0.795 0.205 0.205
Si2 Si 0.500 0.000 0.500
Si3 Si 0.500 0.500 0.500
Si4 Si 0.000 0.000 0.500
Co5 Co 0.830 0.830 0.830
Co6 Co 0.619 0.619 0.619
Co7 Co 0.381 0.858 0.381
Hf2 Hf 0.795 0.205 0.795
Co8 Co 0.489 0.170 0.170
Hf3 Hf 0.205 0.795 0.205
Co9 Co 0.381 0.381 0.858
Co10 Co 0.511 0.830 0.830
Co11 Co 0.619 0.142 0.619
Co12 Co 0.619 0.619 0.142
Hf4 Hf 0.205 0.795 0.795
Co13 Co 0.830 0.830 0.511
Co14 Co 0.170 0.170 0.489
Si5 Si 0.000 0.500 0.000
Co15 Co 0.381 0.381 0.381
Co16 Co 0.170 0.489 0.170
Si6 Si 0.500 0.000 0.000
Si7 Si 0.000 0.500 0.500
Hf5 Hf 0.795 0.795 0.205
Hf6 Hf 0.205 0.205 0.795
```

Summary:
Uncorrected energy: -7.9815 eV per atom
SG: Fm-3m


Record 6
ZrCo3B2: relaxed, PBE.

```
data_ZrCo3B2
_space_group_name_H-M_alt 'P 1'
_space_group_IT_number 1
_space_group_name_Hall 'P 1'
_cell_length_a 4.874
_cell_length_b 4.874
_cell_length_c 3.032
_cell_angle_alpha 90.00
_cell_angle_beta 90.00
_cell_angle_gamma 120.00
loop_
_atom_site_label
_atom_site_type_symbol
_atom_site_fract_x
_atom_site_fract_y
_atom_site_fract_z
Zr1 Zr 0.000 0.000 0.000
B1 B 0.333 0.667 0.000
Co1 Co 0.500 0.500 0.500
Co2 Co 0.500 0.000 0.500
B2 B 0.667 0.333 0.000
Co3 Co 0.000 0.500 0.500
```

Summary:
Uncorrected energy: -7.7619 eV per atom
SG: P6/mmm


Record 7
Na3Ca2Ga2PS5O24: relaxed, PBE.

```
data_Na3Ca2Ga2PS5O24
_space_group_name_H-M_alt 'P 1'
_space_group_IT_number 1
_space_group_name_Hall 'P 1'
_cell_length_a 8.932
_cell_length_b 8.874
_cell_length_c 22.787
_cell_angle_alpha 89.80
_cell_angle_beta 90.11
_cell_angle_gamma 119.88
loop_
_atom_site_label
_atom_site_type_symbol
_atom_site_fract_x
_atom_site_fract_y
_atom_site_fract_z
Na1 Na 0.667 0.333 0.334
O1 O 0.679 0.526 0.529
S1 S 0.663 0.052 0.084
Ga1 Ga 0.658 0.330 0.483
Ca1 Ca 0.338 0.667 0.822
O2 O 0.119 0.418 0.969
O3 O 0.966 0.180 0.304
O4 O 0.218 0.183 0.083
O5 O 0.692 0.182 0.746
Na2 Na 0.305 0.664 0.168
O6 O 0.211 0.036 0.581
O7 O 0.587 0.884 0.472
Ca2 Ca 0.316 0.664 0.015
Ca3 Ca 0.327 0.667 0.514
O8 O 0.213 0.175 0.803
O9 O 0.657 0.512 0.638
O10 O 0.953 0.786 0.083
O11 O 0.007 0.211 0.197
O12 O 0.489 0.167 0.924
O13 O 0.474 0.302 0.748
O14 O 0.544 0.638 0.868
O15 O 0.482 0.180 0.247
O16 O 0.490 0.139 0.642
Na3 Na 0.680 0.341 0.834
S2 S 0.664 0.609 0.583
O17 O 0.020 0.805 0.699
Na4 Na 0.665 0.959 0.588
Ga2 Ga 0.669 0.324 0.685
O18 O 0.542 0.905 0.367
Na5 Na 0.330 0.657 0.668
O19 O 0.511 0.873 0.082
O20 O 0.821 0.036 0.084
O21 O 0.507 0.625 0.582
S3 S 0.300 0.292 0.751
S4 S 0.010 0.666 0.416
O22 O 0.300 0.420 0.469
Ga3 Ga 0.676 0.337 0.186
O23 O 0.823 0.790 0.301
Ga4 Ga 0.674 0.338 0.983
O24 O 0.866 0.356 0.637
O25 O 0.488 0.325 0.423
P1 P 0.707 0.011 0.747
O26 O 0.477 0.318 0.029
O27 O 0.965 0.785 0.805
O28 O 0.122 0.491 0.581
S5 S 0.307 0.016 0.250
O29 O 0.855 0.506 0.141
O30 O 0.386 0.498 0.080
O31 O 0.671 0.148 0.029
O32 O 0.491 0.347 0.137
O33 O 0.821 0.298 0.248
Na6 Na 0.671 0.707 0.082
Ca4 Ca 0.332 0.667 0.321
O34 O 0.331 0.864 0.257
O35 O 0.952 0.175 0.583
O36 O 0.125 0.627 0.084
S6 S 0.331 0.346 0.416
Ca5 Ca 0.009 0.002 0.145
Ca6 Ca 0.007 0.002 0.645
Na7 Na 0.015 0.002 0.997
O37 O 0.207 0.993 0.197
O38 O 0.817 0.786 0.584
O39 O 0.831 0.004 0.407
O40 O 0.582 0.697 0.973
O41 O 0.834 0.320 0.924
O42 O 0.675 0.510 0.925
O43 O 0.521 0.858 0.755
O44 O 0.175 0.168 0.407
S7 S 0.986 0.289 0.250
O45 O 0.837 0.517 0.029
O46 O 0.118 0.701 0.469
Ga5 Ga 0.985 0.002 0.845
S8 S 0.657 0.987 0.418
P2 P 0.389 0.053 0.583
O47 O 0.847 0.330 0.529
O48 O 0.136 0.465 0.257
O49 O 0.646 0.135 0.138
S9 S 0.947 0.340 0.582
O50 O 0.086 0.632 0.364
O51 O 0.087 0.453 0.864
O52 O 0.362 0.454 0.364
Ga6 Ga 0.001 0.000 0.346
P3 P 0.945 0.608 0.084
O53 O 0.535 0.675 0.257
O54 O 0.141 0.677 0.759
Na8 Na 0.364 0.997 0.750
O55 O 0.781 0.792 0.194
S10 S 0.987 0.698 0.751
O56 O 0.301 0.878 0.966
O57 O 0.381 0.875 0.583
O58 O 0.993 0.826 0.406
O59 O 0.219 0.038 0.304
O60 O 0.779 0.987 0.689
O61 O 0.175 0.010 0.907
S11 S 0.332 0.991 0.915
O62 O 0.994 0.167 0.908
O63 O 0.324 0.467 0.758
O64 O 0.827 0.525 0.746
O65 O 0.831 0.825 0.909
O66 O 0.823 0.033 0.801
S12 S 0.393 0.334 0.083
Na9 Na 0.027 0.002 0.497
S13 S 0.709 0.697 0.249
O67 O 0.680 0.166 0.424
O68 O 0.833 0.512 0.425
S14 S 0.655 0.668 0.919
O69 O 0.697 0.521 0.247
O70 O 0.204 0.216 0.697
O71 O 0.364 0.919 0.861
S15 S 0.013 0.344 0.916
O72 O 0.488 0.160 0.529
```

Summary:
Uncorrected energy: -6.1556 eV per atom
SG: P1
Size of the total moment: 0.0 μB per formula unit